Entry 1:
{
  "formula": "PrCo9Si4",
  "functional": "GGA-PBE",
  "state": "optimized geometry",
  "sg": "I4/mcm (140)",
  "cell": [[-3.886, 3.886, 5.758], [3.886, -3.886, 5.758], [3.886, 3.886, -5.758]],
  "species": ["Pr", "Pr", "Co", "Co", "Co", "Co", "Co", "Co", "Co", "Co", "Co", "Co", "Co", "Co", "Co", "Co", "Co", "Co", "Co", "Co", "Si", "Si", "Si", "Si", "Si", "Si", "Si", "Si"],
  "frac_coords": [[0.250, 0.250, 0.000], [0.750, 0.750, 0.000], [0.000, 0.500, 0.500], [0.051, 0.551, 0.241], [0.069, 0.801, 0.870], [0.191, 0.949, 0.500], [0.199, 0.069, 0.269], [0.301, 0.569, 0.870], [0.309, 0.809, 0.759], [0.431, 0.301, 0.731], [0.449, 0.691, 0.500], [0.500, 0.000, 0.500], [0.551, 0.309, 0.500], [0.569, 0.699, 0.269], [0.691, 0.191, 0.241], [0.699, 0.431, 0.130], [0.801, 0.931, 0.731], [0.809, 0.051, 0.500], [0.931, 0.199, 0.130], [0.949, 0.449, 0.759], [0.047, 0.210, 0.500], [0.210, 0.710, 0.162], [0.290, 0.453, 0.500], [0.453, 0.953, 0.162], [0.547, 0.047, 0.838], [0.710, 0.547, 0.500], [0.790, 0.290, 0.838], [0.953, 0.790, 0.500]]
}

Entry 2:
{
  "formula": "PrSmCo17",
  "functional": "GGA-PBE",
  "state": "optimized geometry",
  "sg": "R3m (160)",
  "cell": [[4.187, 2.417, 4.045], [-4.187, 2.417, 4.045], [0.000, -4.835, 4.045]],
  "species": ["Pr", "Sm", "Co", "Co", "Co", "Co", "Co", "Co", "Co", "Co", "Co", "Co", "Co", "Co", "Co", "Co", "Co", "Co", "Co"],
  "frac_coords": [[0.000, 0.000, 0.000], [0.689, 0.689, 0.689], [0.001, 0.001, 0.494], [0.001, 0.494, 0.001], [0.061, 0.346, 0.630], [0.061, 0.630, 0.346], [0.197, 0.689, 0.689], [0.250, 0.250, 0.250], [0.346, 0.061, 0.630], [0.346, 0.346, 0.845], [0.346, 0.630, 0.061], [0.346, 0.845, 0.346], [0.442, 0.442, 0.442], [0.494, 0.001, 0.001], [0.630, 0.061, 0.346], [0.630, 0.346, 0.061], [0.689, 0.197, 0.689], [0.689, 0.689, 0.197], [0.845, 0.346, 0.346]]
}

Entry 3:
{
  "formula": "Pr3Co8Sn4",
  "functional": "GGA-PBE",
  "state": "optimized geometry",
  "sg": "P6_3mc (186)",
  "cell": [[9.038, 0.000, 0.000], [-4.519, 7.828, 0.000], [0.000, 0.000, 7.656]],
  "species": ["Pr", "Pr", "Pr", "Pr", "Pr", "Pr", "Co", "Co", "Co", "Co", "Co", "Co", "Co", "Co", "Co", "Co", "Co", "Co", "Co", "Co", "Co", "Co", "Sn", "Sn", "Sn", "Sn", "Sn", "Sn", "Sn", "Sn"],
  "frac_coords": [[0.050, 0.525, 0.000], [0.475, 0.525, 0.000], [0.475, 0.950, 0.000], [0.525, 0.050, 0.500], [0.525, 0.475, 0.500], [0.950, 0.475, 0.500], [0.000, 0.000, 0.221], [0.000, 0.000, 0.721], [0.094, 0.188, 0.974], [0.094, 0.906, 0.974], [0.154, 0.309, 0.665], [0.154, 0.846, 0.665], [0.188, 0.094, 0.474], [0.309, 0.154, 0.165], [0.333, 0.667, 0.331], [0.667, 0.333, 0.831], [0.691, 0.846, 0.665], [0.812, 0.906, 0.974], [0.846, 0.154, 0.165], [0.846, 0.691, 0.165], [0.906, 0.094, 0.474], [0.906, 0.812, 0.474], [0.170, 0.339, 0.291], [0.170, 0.830, 0.291], [0.333, 0.667, 0.680], [0.339, 0.170, 0.791], [0.661, 0.830, 0.291], [0.667, 0.333, 0.180], [0.830, 0.170, 0.791], [0.830, 0.661, 0.791]]
}

Entry 4:
{
  "formula": "Pr3Co4Sn13",
  "functional": "GGA-PBE",
  "state": "optimized geometry",
  "sg": "Pm-3n (223)",
  "cell": [[9.666, 0.000, 0.000], [0.000, 9.666, 0.000], [0.000, 0.000, 9.666]],
  "species": ["Pr", "Pr", "Pr", "Pr", "Pr", "Pr", "Co", "Co", "Co", "Co", "Co", "Co", "Co", "Co", "Sn", "Sn", "Sn", "Sn", "Sn", "Sn", "Sn", "Sn", "Sn", "Sn", "Sn", "Sn", "Sn", "Sn", "Sn", "Sn", "Sn", "Sn", "Sn", "Sn", "Sn", "Sn", "Sn", "Sn", "Sn", "Sn"],
  "frac_coords": [[0.000, 0.250, 0.500], [0.000, 0.750, 0.500], [0.250, 0.500, 0.000], [0.500, 0.000, 0.250], [0.500, 0.000, 0.750], [0.750, 0.500, 0.000], [0.250, 0.250, 0.250], [0.250, 0.250, 0.750], [0.250, 0.750, 0.250], [0.250, 0.750, 0.750], [0.750, 0.250, 0.250], [0.750, 0.250, 0.750], [0.750, 0.750, 0.250], [0.750, 0.750, 0.750], [0.000, 0.000, 0.000], [0.000, 0.302, 0.157], [0.000, 0.302, 0.843], [0.000, 0.698, 0.157], [0.000, 0.698, 0.843], [0.157, 0.000, 0.302], [0.157, 0.000, 0.698], [0.198, 0.500, 0.343], [0.198, 0.500, 0.657], [0.302, 0.157, 0.000], [0.302, 0.843, 0.000], [0.343, 0.198, 0.500], [0.343, 0.802, 0.500], [0.500, 0.343, 0.198], [0.500, 0.343, 0.802], [0.500, 0.500, 0.500], [0.500, 0.657, 0.198], [0.500, 0.657, 0.802], [0.657, 0.198, 0.500], [0.657, 0.802, 0.500], [0.698, 0.157, 0.000], [0.698, 0.843, 0.000], [0.802, 0.500, 0.343], [0.802, 0.500, 0.657], [0.843, 0.000, 0.302], [0.843, 0.000, 0.698]]
}

Entry 5:
{
  "formula": "Pr2CoSn4",
  "functional": "GGA-PBE",
  "state": "optimized geometry",
  "sg": "Amm2 (38)",
  "cell": [[4.578, 0.000, 0.000], [0.000, 2.299, 8.524], [0.000, -2.299, 8.524]],
  "species": ["Pr", "Pr", "Co", "Sn", "Sn", "Sn", "Sn"],
  "frac_coords": [[0.000, 0.000, 0.000], [0.500, 0.203, 0.203], [0.000, 0.798, 0.798], [0.000, 0.360, 0.360], [0.000, 0.653, 0.653], [0.500, 0.536, 0.536], [0.500, 0.857, 0.857]]
}

Entry 6:
{
  "formula": "CoPt",
  "functional": "GGA-PBE",
  "state": "optimized geometry",
  "sg": "R-3m (166)",
  "cell": [[1.356, 0.783, 4.295], [-1.356, 0.783, 4.295], [0.000, -1.565, 4.295]],
  "species": ["Co", "Pt"],
  "frac_coords": [[0.000, 0.000, 0.000], [0.500, 0.500, 0.500]]
}

no.,final energy (eV for the cell shown)
1,-194.193
2,-131.319
3,-182.556
4,-204.511
5,-36.700
6,-13.233